(1)
A relaxed Cs2PH5O6 crystal, computed with GGA-PBE.

Calculated values
As for the calculated formation energy: -1.907 eV per atom. The total energy comes out at -305.8 eV for the cell shown.

Cell lengths 7.7962, 14.2302, 8.3429 Å; angles 90.00, 119.78, 90.00 degrees
Element x y z (fractional)
Cs1 0.2399 0.2332 0.2432
Cs2 0.2399 0.2668 0.7432
Cs3 0.2497 0.5850 0.7559
Cs4 0.2497 0.9150 0.2559
Cs5 0.7503 0.0850 0.7441
Cs6 0.7503 0.4150 0.2441
Cs7 0.7601 0.7332 0.2568
Cs8 0.7601 0.7668 0.7568
P1 0.2455 0.6440 0.2370
P2 0.2455 0.8560 0.7370
P3 0.7545 0.1440 0.2630
P4 0.7545 0.3560 0.7630
H1 0.1417 0.0799 0.4504
H2 0.1417 0.4201 0.9504
H3 0.1909 0.0213 0.8794
H4 0.1909 0.4787 0.3794
H5 0.2750 0.7320 0.4784
H6 0.2750 0.7680 0.9784
H7 0.3138 0.0235 0.6209
H8 0.3138 0.4765 0.1209
H9 0.3615 0.0778 0.0514
H10 0.3615 0.4222 0.5514
H11 0.6385 0.5778 0.4486
H12 0.6385 0.9222 0.9486
H13 0.6862 0.5235 0.8791
H14 0.6862 0.9765 0.3791
H15 0.7250 0.2320 0.0216
H16 0.7250 0.2680 0.5216
H17 0.8091 0.5213 0.6206
H18 0.8091 0.9787 0.1206
H19 0.8583 0.5799 0.0496
H20 0.8583 0.9201 0.5496
O1 0.0853 0.5848 0.2470
O2 0.0853 0.9152 0.7470
O3 0.1572 0.7159 0.0770
O4 0.1572 0.7841 0.5770
O5 0.2188 0.0795 0.9551
O6 0.2188 0.4205 0.4551
O7 0.2849 0.0824 0.5470
O8 0.2849 0.4176 0.0470
O9 0.3599 0.7040 0.4300
O10 0.3599 0.7960 0.9300
O11 0.4106 0.5845 0.2377
O12 0.4106 0.9155 0.7377
O13 0.5894 0.0845 0.2623
O14 0.5894 0.4155 0.7623
O15 0.6401 0.2040 0.0700
O16 0.6401 0.2960 0.5700
O17 0.7151 0.5824 0.9530
O18 0.7151 0.9176 0.4530
O19 0.7812 0.5795 0.5449
O20 0.7812 0.9205 0.0449
O21 0.8428 0.2159 0.4230
O22 0.8428 0.2841 0.9230
O23 0.9147 0.0848 0.2530
O24 0.9147 0.4152 0.7530



(2)
A relaxed TbHg2 crystal, computed with GGA-PBE.

Calculated values
As for the calculated formation energy: -0.390 eV per atom. The total energy comes out at -6.4 eV for the cell shown.

Cell lengths 4.9704, 4.9704, 3.4675 Å; angles 90.00, 90.00, 120.00 degrees
Element x y z (fractional)
Tb1 0.0000 0.0000 0.0000
Hg1 0.3333 0.6667 0.5148
Hg2 0.6667 0.3333 0.4852



(3)
A relaxed MgZnO2 crystal, computed with GGA-PBE.

Calculated values
As for the calculated formation energy: -2.352 eV per atom. The total energy comes out at -20.8 eV for the cell shown. The energy relative to the lowest polymorph listed for this composition is 40 meV per atom.

Cell lengths 5.2493, 5.2493, 5.2493 Å; angles 33.70, 33.70, 33.70 degrees
Element x y z (fractional)
Mg1 0.0000 0.0000 0.0000
Zn1 0.5000 0.5000 0.5000
O1 0.2529 0.2529 0.2529
O2 0.7471 0.7471 0.7471



(4)
A relaxed Ba4Y2Cu5PdO14 crystal, computed with GGA-PBE.

Calculated values
As for the calculated formation energy: -2.166 eV per atom. The total energy comes out at -162.2 eV for the cell shown. The energy relative to the lowest polymorph listed for this composition is 2 meV per atom.

Cell lengths 12.5488, 12.5225, 5.5159 Å; angles 77.56, 77.02, 25.42 degrees
Element x y z (fractional)
Ba1 0.0922 0.0922 0.4078
Ba2 0.4078 0.4078 0.0922
Ba3 0.5922 0.5922 0.9078
Ba4 0.9078 0.9078 0.5922
Y1 0.2500 0.2500 0.2500
Y2 0.7500 0.7500 0.7500
Cu1 0.0000 0.0000 0.0000
Cu2 0.1783 0.1783 0.8217
Cu3 0.3215 0.3215 0.6785
Cu4 0.6785 0.6785 0.3215
Cu5 0.8217 0.8217 0.1783
Pd1 0.5000 0.5000 0.5000
O1 0.0593 0.5607 0.9407
O2 0.0596 0.5608 0.4392
O3 0.0801 0.0801 0.9199
O4 0.2403 0.7597 0.2403
O5 0.4152 0.4152 0.5848
O6 0.4392 0.9404 0.0596
O7 0.4393 0.9407 0.5607
O8 0.5607 0.0593 0.4393
O9 0.5608 0.0596 0.9404
O10 0.5848 0.5848 0.4152
O11 0.7597 0.2403 0.7597
O12 0.9199 0.9199 0.0801
O13 0.9404 0.4392 0.5608
O14 0.9407 0.4393 0.0593



(5)
A relaxed Ba2Ti5Bi4O18 crystal, computed with GGA-PBE.

Calculated values
As for the calculated formation energy: -2.817 eV per atom. The total energy comes out at -217.3 eV for the cell shown. The energy relative to the lowest polymorph listed for this composition is 0 meV per atom.

Cell lengths 24.6052, 24.6052, 24.6052 Å; angles 170.85, 170.85, 12.96 degrees
Element x y z (fractional)
Ba1 0.0418 0.0418 0.0000
Ba2 0.9582 0.9582 0.0000
Ti1 0.3323 0.3323 0.0000
Ti2 0.4162 0.4162 0.0000
Ti3 0.5000 0.5000 0.0000
Ti4 0.5838 0.5838 0.0000
Ti5 0.6677 0.6677 0.0000
Bi1 0.1274 0.1274 0.0000
Bi2 0.2244 0.2244 0.0000
Bi3 0.7756 0.7756 0.0000
Bi4 0.8726 0.8726 0.0000
O1 0.0000 0.5000 0.5000
O2 0.0842 0.5842 0.5000
O3 0.1599 0.6599 0.5000
O4 0.2500 0.7500 0.5000
O5 0.2958 0.2958 0.0000
O6 0.3401 0.8401 0.5000
O7 0.3771 0.3771 0.0000
O8 0.4158 0.9158 0.5000
O9 0.4584 0.4584 0.0000
O10 0.5000 0.0000 0.5000
O11 0.5416 0.5416 0.0000
O12 0.5842 0.0842 0.5000
O13 0.6229 0.6229 0.0000
O14 0.6599 0.1599 0.5000
O15 0.7042 0.7042 0.0000
O16 0.7500 0.2500 0.5000
O17 0.8401 0.3401 0.5000
O18 0.9158 0.4158 0.5000



(6)
A relaxed HoAl3Cl12 crystal, computed with GGA-PBE.

Calculated values
As for the calculated formation energy: -2.170 eV per atom. For the maximum piezoelectric response, the calculation gives 0.1 C/m2. The total energy comes out at -196.1 eV for the cell shown.

Cell lengths 10.8002, 10.8002, 15.9802 Å; angles 90.00, 90.00, 120.00 degrees
Element x y z (fractional)
Ho1 0.1712 0.3424 0.1667
Ho2 0.1712 0.8288 0.8333
Ho3 0.6576 0.8288 0.5000
Al1 0.2040 0.6020 0.0000
Al2 0.3006 0.0963 0.2303
Al3 0.3006 0.2043 0.7697
Al4 0.3980 0.6020 0.3333
Al5 0.3980 0.7960 0.6667
Al6 0.7957 0.0963 0.1030
Al7 0.7957 0.6994 0.8970
Al8 0.9037 0.2043 0.5637
Al9 0.9037 0.6994 0.4363
Cl1 0.0058 0.1760 0.0384
Cl2 0.0058 0.8299 0.9616
Cl3 0.0763 0.5327 0.1131
Cl4 0.0763 0.5436 0.8869
Cl5 0.1256 0.3019 0.5432
Cl6 0.1256 0.8237 0.4568
Cl7 0.1701 0.1760 0.2950
Cl8 0.1696 0.4981 0.3154
Cl9 0.1696 0.6715 0.6846
Cl10 0.1701 0.9942 0.7050
Cl11 0.1763 0.3019 0.7902
Cl12 0.1763 0.8744 0.2098
Cl13 0.3207 0.1067 0.8882
Cl14 0.3207 0.2140 0.1118
Cl15 0.3285 0.4981 0.0179
Cl16 0.3285 0.8304 0.9821
Cl17 0.4564 0.5327 0.2202
Cl18 0.4564 0.9237 0.7798
Cl19 0.4673 0.5436 0.4464
Cl20 0.4673 0.9237 0.5536
Cl21 0.4993 0.1740 0.2897
Cl22 0.4993 0.3253 0.7103
Cl23 0.5019 0.6715 0.6487
Cl24 0.5019 0.8304 0.3513
Cl25 0.6747 0.1740 0.0436
Cl26 0.6747 0.5007 0.9564
Cl27 0.6981 0.8237 0.8765
Cl28 0.6981 0.8744 0.1235
Cl29 0.7860 0.1067 0.4451
Cl30 0.7860 0.6793 0.5549
Cl31 0.8240 0.8299 0.3717
Cl32 0.8240 0.9942 0.6283
Cl33 0.8260 0.3253 0.6230
Cl34 0.8260 0.5007 0.3770
Cl35 0.8933 0.2140 0.2216
Cl36 0.8933 0.6793 0.7784



(7)
A relaxed ErNiGe3 crystal, computed with GGA-PBE.

Calculated values
As for the calculated formation energy: -0.552 eV per atom. The total energy comes out at -54.0 eV for the cell shown.

Cell lengths 10.9749, 10.9749, 4.0709 Å; angles 90.00, 90.00, 158.51 degrees
Element x y z (fractional)
Er1 0.1690 0.8310 0.0000
Er2 0.8310 0.1690 0.0000
Ni1 0.3888 0.6112 0.5000
Ni2 0.6112 0.3888 0.5000
Ge1 0.0576 0.9424 0.5000
Ge2 0.2831 0.7169 0.5000
Ge3 0.4426 0.5574 0.0000
Ge4 0.5574 0.4426 0.0000
Ge5 0.7169 0.2831 0.5000
Ge6 0.9424 0.0576 0.5000



(8)
A relaxed Y6Mn11S20 crystal, computed with GGA-PBE.

Calculated values
As for the calculated formation energy: -1.093 eV per atom. The total energy comes out at -252.7 eV for the cell shown. The energy relative to the lowest polymorph listed for this composition is 216 meV per atom.

Cell lengths 4.7324, 4.7324, 34.6517 Å; angles 94.49, 94.49, 70.86 degrees
Element x y z (fractional)
Y1 0.1219 0.1219 0.2106
Y2 0.1668 0.1668 0.0444
Y3 0.2153 0.2153 0.8805
Y4 0.7847 0.7847 0.1195
Y5 0.8332 0.8332 0.9556
Y6 0.8781 0.8781 0.7894
Mn1 0.0000 0.0000 0.5000
Mn2 0.0494 0.0494 0.3602
Mn3 0.2411 0.2411 0.7305
Mn4 0.3020 0.3020 0.5928
Mn5 0.3483 0.3483 0.4532
Mn6 0.3979 0.3979 0.3137
Mn7 0.6021 0.6021 0.6863
Mn8 0.6517 0.6517 0.5468
Mn9 0.6980 0.6980 0.4072
Mn10 0.7589 0.7589 0.2695
Mn11 0.9506 0.9506 0.6398
S1 0.0228 0.0228 0.4302
S2 0.0803 0.0803 0.2905
S3 0.1413 0.1413 0.1325
S4 0.1920 0.1920 0.9675
S5 0.2366 0.2366 0.8038
S6 0.2773 0.2773 0.6617
S7 0.3257 0.3257 0.5231
S8 0.3737 0.3737 0.3836
S9 0.4490 0.4490 0.2462
S10 0.4738 0.4738 0.0826
S11 0.5262 0.5262 0.9174
S12 0.5510 0.5510 0.7538
S13 0.6263 0.6263 0.6164
S14 0.6743 0.6743 0.4769
S15 0.7227 0.7227 0.3383
S16 0.7634 0.7634 0.1962
S17 0.8081 0.8081 0.0325
S18 0.8587 0.8587 0.8675
S19 0.9197 0.9197 0.7095
S20 0.9772 0.9772 0.5698